Entry 1:
A plane-wave DFT calculation with GGA-PBE was carried out for a relaxed VCo7N4 crystal.

Its density is 7.358 g cm⁻³. As for the energy relative to the elements: 107 meV per atom. The value obtained for the calculated total energy is -7.455 eV per atom. For the MP2020-corrected energy, the calculation gives -7.58 eV per atom.

abc: 9.789 9.789 9.789
angles: 90.00 90.00 90.00
Space group P-43n (No. 218)
Inequivalent atoms, fractional coordinates:
V  0.000  0.000  0.000
V  0.000  0.250  0.500
Co  0.000  0.000  0.255
Co  0.000  0.000  0.500
Co  0.000  0.500  0.250
Co  0.064  0.252  0.758
Co  0.204  0.204  0.204
N  0.104  0.104  0.104
N  0.107  0.118  0.616



Entry 2:
A plane-wave DFT calculation with GGA-PBE was carried out for a relaxed VCo2N3 crystal.

Its density is 5.816 g cm⁻³. As for the energy relative to the elements: -366 meV per atom. The value obtained for the calculated total energy is -8.237 eV per atom. For the MP2020-corrected energy, the calculation gives -8.42 eV per atom.

abc: 9.029 5.215 5.114
angles: 90.00 90.00 90.00
Space group Cmc2_1 (No. 36)
Inequivalent atoms, fractional coordinates:
V  0.000  0.178  0.000
Co  0.158  0.326  0.463
N  0.000  0.162  0.630
N  0.176  0.342  0.100



What is the formula in the second record? VCo2N3



Which of these has the lowest calculated total energy? VCo2N3



Which of these has the lowest energy relative to the elements? VCo2N3



Which value of calculated total energy does entry 1 give? -7.455 eV per atom